This record from Materials Project describes a geometry-optimized Ca4As3H9O16 structure. The functional is r2SCAN.

Cell lengths 5.8088, 10.1862, 22.7885 Å; angles 90.00, 96.96, 90.00 degrees
Fractional coordinates of all 128 atoms:
Ca 0.0027 0.1456 0.1415
Ca 0.0027 0.3544 0.6415
Ca 0.1138 0.1814 0.3922
Ca 0.1138 0.3186 0.8922
Ca 0.3284 0.7265 0.9978
Ca 0.3284 0.7735 0.4978
Ca 0.4402 0.6357 0.2439
Ca 0.4402 0.8643 0.7439
Ca 0.5598 0.1357 0.2561
Ca 0.5598 0.3643 0.7561
Ca 0.6716 0.2265 0.5022
Ca 0.6716 0.2735 0.0022
Ca 0.8862 0.6814 0.1078
Ca 0.8862 0.8186 0.6078
Ca 0.9973 0.6456 0.3585
Ca 0.9973 0.8544 0.8585
As 0.1281 0.5505 0.7855
As 0.1281 0.9495 0.2855
As 0.2290 0.0842 0.5498
As 0.2290 0.4158 0.0498
As 0.4620 0.0027 0.9030
As 0.4620 0.4973 0.4030
As 0.5380 0.5027 0.5970
As 0.5380 0.9973 0.0970
As 0.7710 0.5842 0.9502
As 0.7710 0.9158 0.4502
As 0.8719 0.0505 0.7145
As 0.8719 0.4495 0.2145
H 0.0981 0.1232 0.9899
H 0.0979 0.2316 0.7689
H 0.0979 0.2684 0.2689
H 0.0981 0.3768 0.4899
H 0.1032 0.5711 0.5568
H 0.1032 0.9289 0.0568
H 0.2368 0.6384 0.6805
H 0.2368 0.8616 0.1805
H 0.2673 0.1318 0.8073
H 0.2673 0.3682 0.3073
H 0.2749 0.1428 0.6926
H 0.2749 0.3572 0.1926
H 0.3609 0.7146 0.6322
H 0.3609 0.7854 0.1322
H 0.4174 0.2136 0.6482
H 0.4174 0.2864 0.1482
H 0.4263 0.5678 0.8816
H 0.4263 0.9322 0.3816
H 0.5737 0.0678 0.6184
H 0.5737 0.4322 0.1184
H 0.5826 0.7136 0.8518
H 0.5826 0.7864 0.3518
H 0.6391 0.2146 0.8678
H 0.6391 0.2854 0.3678
H 0.7251 0.6428 0.8074
H 0.7251 0.8572 0.3074
H 0.7327 0.6318 0.6927
H 0.7327 0.8682 0.1927
H 0.7632 0.1384 0.8195
H 0.7632 0.3616 0.3195
H 0.8968 0.0711 0.9432
H 0.8968 0.4289 0.4432
H 0.9019 0.6232 0.5101
H 0.9021 0.7316 0.7311
H 0.9021 0.7684 0.2311
H 0.9019 0.8768 0.0101
O 0.0111 0.1757 0.5701
O 0.0111 0.3243 0.0701
O 0.0198 0.6528 0.5412
O 0.0198 0.8472 0.0412
O 0.1396 0.0017 0.7016
O 0.1396 0.4983 0.2016
O 0.1424 0.7177 0.7860
O 0.1424 0.7823 0.2860
O 0.1955 0.5760 0.0638
O 0.1955 0.9240 0.5638
O 0.2038 0.0059 0.2202
O 0.2038 0.4941 0.7202
O 0.2311 0.2268 0.8002
O 0.2311 0.2732 0.3002
O 0.2511 0.7261 0.6622
O 0.2511 0.7739 0.1622
O 0.2593 0.0493 0.0841
O 0.2593 0.4507 0.5841
O 0.2844 0.5839 0.4419
O 0.2844 0.9161 0.9419
O 0.3024 0.1128 0.4816
O 0.3024 0.3872 0.9816
O 0.3255 0.0189 0.3384
O 0.3255 0.4811 0.8384
O 0.3387 0.5209 0.3314
O 0.3387 0.9791 0.8314
O 0.3408 0.2304 0.6839
O 0.3408 0.2696 0.1839
O 0.4593 0.1672 0.9175
O 0.4593 0.3328 0.4175
O 0.4917 0.1402 0.5895
O 0.4917 0.3598 0.0895
O 0.5083 0.6402 0.9105
O 0.5083 0.8598 0.4105
O 0.5407 0.6672 0.5825
O 0.5407 0.8328 0.0825
O 0.6592 0.7304 0.8161
O 0.6592 0.7696 0.3161
O 0.6613 0.0209 0.1686
O 0.6613 0.4791 0.6686
O 0.6745 0.5189 0.1616
O 0.6745 0.9811 0.6616
O 0.6976 0.6128 0.0184
O 0.6976 0.8872 0.5184
O 0.7156 0.0839 0.0581
O 0.7156 0.4161 0.5581
O 0.7407 0.5493 0.4159
O 0.7407 0.9507 0.9159
O 0.7489 0.2261 0.8378
O 0.7489 0.2739 0.3378
O 0.7689 0.7268 0.6998
O 0.7689 0.7732 0.1998
O 0.7962 0.5059 0.2798
O 0.7962 0.9941 0.7798
O 0.8045 0.0760 0.4362
O 0.8045 0.4240 0.9362
O 0.8576 0.2177 0.7140
O 0.8576 0.2823 0.2140
O 0.8604 0.5017 0.7984
O 0.8604 0.9983 0.2984
O 0.9802 0.1528 0.9588
O 0.9802 0.3472 0.4588
O 0.9889 0.6757 0.9299
O 0.9889 0.8243 0.4299

Summary:
volume	10.5	A^3/atom
symmetry	P2_1/c
crystal system	monoclinic
formation enthalpy at 0 K	-1867	meV/atom


This record from Materials Project describes a geometry-optimized Ca2AsI structure. The functional is r2SCAN.

Cell lengths 7.8714, 7.8714, 7.8714 Å; angles 32.43, 32.43, 32.43 degrees
Fractional coordinates of all 4 atoms:
Ca 0.2313 0.2313 0.2313
Ca 0.7687 0.7687 0.7687
As 0.5000 0.5000 0.5000
I 0.0000 0.0000 0.0000

Summary:
volume	31.2	A^3/atom
symmetry	R-3m
crystal system	trigonal
formation enthalpy at 0 K	-1640	meV/atom


This record from Materials Project describes a geometry-optimized Ca4As7Ir8 structure. The functional is r2SCAN.

Cell lengths 12.9779, 4.0864, 13.5409 Å; angles 90.00, 98.24, 90.00 degrees
Fractional coordinates of all 38 atoms:
Ca 0.0144 0.2500 0.2097
Ca 0.2114 0.7500 0.6054
Ca 0.2859 0.7500 0.9329
Ca 0.3986 0.7500 0.2978
Ca 0.6014 0.2500 0.7022
Ca 0.7141 0.2500 0.0671
Ca 0.7886 0.2500 0.3946
Ca 0.9856 0.7500 0.7903
As 0.0308 0.2500 0.6283
As 0.1085 0.2500 0.9342
As 0.1910 0.7500 0.1891
As 0.2440 0.2500 0.4198
As 0.3484 0.2500 0.7799
As 0.4037 0.2500 0.0850
As 0.4400 0.7500 0.6009
As 0.5600 0.2500 0.3991
As 0.5963 0.7500 0.9150
As 0.6516 0.7500 0.2201
As 0.7560 0.7500 0.5802
As 0.8090 0.2500 0.8109
As 0.8915 0.7500 0.0658
As 0.9692 0.7500 0.3717
Ir 0.0549 0.2500 0.4519
Ir 0.0754 0.7500 0.0275
Ir 0.1582 0.7500 0.3605
Ir 0.1652 0.2500 0.7708
Ir 0.2213 0.2500 0.0995
Ir 0.4205 0.2500 0.5018
Ir 0.4462 0.7500 0.7799
Ir 0.4859 0.2500 0.9273
Ir 0.5141 0.7500 0.0727
Ir 0.5538 0.2500 0.2201
Ir 0.5795 0.7500 0.4982
Ir 0.7787 0.7500 0.9005
Ir 0.8348 0.7500 0.2292
Ir 0.8418 0.2500 0.6395
Ir 0.9246 0.2500 0.9725
Ir 0.9451 0.7500 0.5481

Summary:
volume	18.7	A^3/atom
symmetry	P2_1/m
crystal system	monoclinic
formation enthalpy at 0 K	-745	meV/atom


This record from Materials Project describes a geometry-optimized Ca2As2O7 structure. The functional is r2SCAN.

Cell lengths 5.8624, 5.8624, 4.9261 Å; angles 96.86, 96.86, 105.85 degrees
Fractional coordinates of all 11 atoms:
Ca 0.1932 0.8068 0.0000
Ca 0.8068 0.1932 0.0000
As 0.2737 0.2737 0.5905
As 0.7263 0.7263 0.4095
O 0.1165 0.4156 0.7768
O 0.1178 0.1178 0.2863
O 0.4156 0.1165 0.7768
O 0.5000 0.5000 0.5000
O 0.5844 0.8835 0.2232
O 0.8822 0.8822 0.7137
O 0.8835 0.5844 0.2232

Summary:
volume	14.5	A^3/atom
symmetry	C2/m
crystal system	monoclinic
formation enthalpy at 0 K	-2270	meV/atom


This record from Materials Project describes a geometry-optimized CaAs2Pd2 structure. The functional is r2SCAN.

Cell lengths 5.9526, 5.9526, 5.9526 Å; angles 137.55, 137.55, 61.59 degrees
Fractional coordinates of all 5 atoms:
Ca 0.0000 0.0000 0.0000
As 0.3797 0.3797 0.0000
As 0.6203 0.6203 0.0000
Pd 0.2500 0.7500 0.5000
Pd 0.7500 0.2500 0.5000

Summary:
volume	19.0	A^3/atom
symmetry	I4/mmm
crystal system	tetragonal
formation enthalpy at 0 K	-798	meV/atom


This record from Materials Project describes a geometry-optimized CaAs4Rh6 structure. The functional is r2SCAN.

Cell lengths 7.2354, 7.2354, 3.7764 Å; angles 90.00, 90.00, 120.00 degrees
Fractional coordinates of all 11 atoms:
Ca 0.0000 0.0000 0.0000
As 0.3333 0.6667 0.0000
As 0.3762 0.1881 0.5000
As 0.8119 0.1881 0.5000
As 0.8119 0.6238 0.5000
Rh 0.1999 0.3999 0.5000
Rh 0.1999 0.8001 0.5000
Rh 0.5348 0.0696 0.0000
Rh 0.5348 0.4652 0.0000
Rh 0.6001 0.8001 0.5000
Rh 0.9304 0.4652 0.0000

Summary:
volume	15.6	A^3/atom
symmetry	P-6m2
crystal system	hexagonal
formation enthalpy at 0 K	-711	meV/atom


This record from Materials Project describes a geometry-optimized Cd3AsCl3 structure. The functional is r2SCAN.

Cell lengths 13.2942, 8.1317, 7.1188 Å; angles 90.00, 90.00, 90.00 degrees
Fractional coordinates of all 28 atoms:
Cd 0.0000 0.0000 0.0000
Cd 0.0000 0.5000 0.0000
Cd 0.0876 0.2500 0.4987
Cd 0.2395 0.7500 0.4943
Cd 0.2605 0.2500 0.9943
Cd 0.4124 0.7500 0.9987
Cd 0.5000 0.0000 0.5000
Cd 0.5000 0.5000 0.5000
Cd 0.5876 0.2500 0.0013
Cd 0.7395 0.7500 0.0057
Cd 0.7605 0.2500 0.5057
Cd 0.9124 0.7500 0.5013
As 0.0835 0.2500 0.8543
As 0.4165 0.7500 0.3543
As 0.5835 0.2500 0.6457
As 0.9165 0.7500 0.1457
Cl 0.0824 0.7500 0.6946
Cl 0.1676 0.0196 0.3016
Cl 0.1676 0.4804 0.3016
Cl 0.3324 0.5196 0.8016
Cl 0.3324 0.9804 0.8016
Cl 0.4176 0.2500 0.1946
Cl 0.5824 0.7500 0.8054
Cl 0.6676 0.0196 0.1984
Cl 0.6676 0.4804 0.1984
Cl 0.8324 0.5196 0.6984
Cl 0.8324 0.9804 0.6984
Cl 0.9176 0.2500 0.3054

Summary:
volume	27.5	A^3/atom
symmetry	Pnma
crystal system	orthorhombic
formation enthalpy at 0 K	-883	meV/atom


This record from Materials Project describes a geometry-optimized CsCd4As3 structure. The functional is r2SCAN.

Cell lengths 4.5422, 4.5422, 10.9479 Å; angles 90.00, 90.00, 90.00 degrees
Fractional coordinates of all 8 atoms:
Cs 0.0000 0.0000 0.0000
Cd 0.0000 0.5000 0.3388
Cd 0.0000 0.5000 0.6612
Cd 0.5000 0.0000 0.3388
Cd 0.5000 0.0000 0.6612
As 0.0000 0.0000 0.5000
As 0.5000 0.5000 0.2031
As 0.5000 0.5000 0.7969

Summary:
volume	28.2	A^3/atom
symmetry	P4/mmm
crystal system	tetragonal
formation enthalpy at 0 K	-352	meV/atom


Among the records above, which one has the lowest formation enthalpy at 0 K?
Ca2As2O7


Among the records above, which one has the lowest formation enthalpy at 0 K?
Ca2As2O7


Which formula does entry 5 have?
CaAs2Pd2


Which of these has the highest volume?
Ca2AsI